No. 1
VASP calculation (GGA-PBE) on crystalline Ca3Ac at its relaxed geometry.

Output
Energy of formation   0.057 eV per atom
Raw total energy   -9.91 eV per formula unit

```
16
Lattice="8.765 0.000 0.000 0.000 8.765 0.000 0.000 0.000 8.765" Properties=species:S:1:pos:R:3 pbc="T T T"
Ca 0.000 0.000 0.000
Ca 0.000 4.383 4.383
Ca 2.191 2.191 2.191
Ca 2.191 2.191 6.574
Ca 2.191 6.574 2.191
Ca 2.191 6.574 6.574
Ca 4.383 0.000 4.383
Ca 4.383 4.383 0.000
Ca 6.574 2.191 2.191
Ca 6.574 2.191 6.574
Ca 6.574 6.574 2.191
Ca 6.574 6.574 6.574
Ac 0.000 0.000 4.383
Ac 0.000 4.383 0.000
Ac 4.383 0.000 0.000
Ac 4.383 4.383 4.383
```

=====

No. 2
VASP calculation (GGA-PBE) on crystalline CaAcGa2 at its relaxed geometry.

Output
Energy of formation   -0.450 eV per atom
Raw total energy   -13.98 eV per formula unit

```
16
Lattice="7.646 0.000 0.000 0.000 7.646 0.000 0.000 0.000 7.646" Properties=species:S:1:pos:R:3 pbc="T T T"
Ca 0.000 0.000 0.000
Ca 0.000 3.823 3.823
Ca 3.823 0.000 3.823
Ca 3.823 3.823 0.000
Ac 0.000 0.000 3.823
Ac 0.000 3.823 0.000
Ac 3.823 0.000 0.000
Ac 3.823 3.823 3.823
Ga 1.911 1.911 1.911
Ga 1.911 1.911 5.734
Ga 1.911 5.734 1.911
Ga 1.911 5.734 5.734
Ga 5.734 1.911 1.911
Ga 5.734 1.911 5.734
Ga 5.734 5.734 1.911
Ga 5.734 5.734 5.734
```

=====

No. 3
VASP calculation (GGA-PBE) on crystalline CaAcZn2 at its relaxed geometry.

Output
Energy of formation   -0.273 eV per atom
Raw total energy   -9.74 eV per formula unit

```
16
Lattice="7.642 0.000 0.000 0.000 7.642 0.000 0.000 0.000 7.642" Properties=species:S:1:pos:R:3 pbc="T T T"
Ca 0.000 0.000 0.000
Ca 0.000 3.821 3.821
Ca 3.821 0.000 3.821
Ca 3.821 3.821 0.000
Ac 0.000 0.000 3.821
Ac 0.000 3.821 0.000
Ac 3.821 0.000 0.000
Ac 3.821 3.821 3.821
Zn 1.911 1.911 1.911
Zn 1.911 1.911 5.732
Zn 1.911 5.732 1.911
Zn 1.911 5.732 5.732
Zn 5.732 1.911 1.911
Zn 5.732 1.911 5.732
Zn 5.732 5.732 1.911
Zn 5.732 5.732 5.732
```

=====

No. 4
VASP calculation (GGA-PBE) on crystalline Ac2CdGa at its relaxed geometry.

Output
Energy of formation   -0.352 eV per atom
Raw total energy   -13.60 eV per formula unit

```
16
Lattice="8.022 0.000 0.000 0.000 8.022 0.000 0.000 0.000 8.022" Properties=species:S:1:pos:R:3 pbc="T T T"
Ac 2.005 2.005 2.005
Ac 2.005 2.005 6.016
Ac 2.005 6.016 2.005
Ac 2.005 6.016 6.016
Ac 6.016 2.005 2.005
Ac 6.016 2.005 6.016
Ac 6.016 6.016 2.005
Ac 6.016 6.016 6.016
Cd 0.000 0.000 0.000
Cd 0.000 4.011 4.011
Cd 4.011 0.000 4.011
Cd 4.011 4.011 0.000
Ga 0.000 0.000 4.011
Ga 0.000 4.011 0.000
Ga 4.011 0.000 0.000
Ga 4.011 4.011 4.011
```

=====

No. 5
VASP calculation (GGA-PBE) on crystalline Ac2CdGe at its relaxed geometry.

Output
Energy of formation   -0.396 eV per atom
Raw total energy   -15.37 eV per formula unit

```
16
Lattice="7.961 0.000 0.000 0.000 7.961 0.000 0.000 0.000 7.961" Properties=species:S:1:pos:R:3 pbc="T T T"
Ac 1.990 1.990 1.990
Ac 1.990 1.990 5.971
Ac 1.990 5.971 1.990
Ac 1.990 5.971 5.971
Ac 5.971 1.990 1.990
Ac 5.971 1.990 5.971
Ac 5.971 5.971 1.990
Ac 5.971 5.971 5.971
Cd 0.000 0.000 0.000
Cd 0.000 3.981 3.981
Cd 3.981 0.000 3.981
Cd 3.981 3.981 0.000
Ge 0.000 0.000 3.981
Ge 0.000 3.981 0.000
Ge 3.981 0.000 0.000
Ge 3.981 3.981 3.981
```

=====

No. 6
VASP calculation (GGA-PBE) on crystalline AcLaCd2 at its relaxed geometry.

Output
Energy of formation   -0.293 eV per atom
Raw total energy   -12.08 eV per formula unit

```
16
Lattice="8.028 0.000 0.000 0.000 8.028 0.000 0.000 0.000 8.028" Properties=species:S:1:pos:R:3 pbc="T T T"
Ac 0.000 0.000 0.000
Ac 0.000 4.014 4.014
Ac 4.014 0.000 4.014
Ac 4.014 4.014 0.000
La 0.000 0.000 4.014
La 0.000 4.014 0.000
La 4.014 0.000 0.000
La 4.014 4.014 4.014
Cd 2.007 2.007 2.007
Cd 2.007 2.007 6.021
Cd 2.007 6.021 2.007
Cd 2.007 6.021 6.021
Cd 6.021 2.007 2.007
Cd 6.021 2.007 6.021
Cd 6.021 6.021 2.007
Cd 6.021 6.021 6.021
```

=====

No. 7
VASP calculation (GGA-PBE) on crystalline Ac2CdSn at its relaxed geometry.

Output
Energy of formation   -0.466 eV per atom
Raw total energy   -15.04 eV per formula unit

```
16
Lattice="8.177 0.000 0.000 0.000 8.177 0.000 0.000 0.000 8.177" Properties=species:S:1:pos:R:3 pbc="T T T"
Ac 2.044 2.044 2.044
Ac 2.044 2.044 6.132
Ac 2.044 6.132 2.044
Ac 2.044 6.132 6.132
Ac 6.132 2.044 2.044
Ac 6.132 2.044 6.132
Ac 6.132 6.132 2.044
Ac 6.132 6.132 6.132
Cd 0.000 0.000 0.000
Cd 0.000 4.088 4.088
Cd 4.088 0.000 4.088
Cd 4.088 4.088 0.000
Sn 0.000 0.000 4.088
Sn 0.000 4.088 0.000
Sn 4.088 0.000 0.000
Sn 4.088 4.088 4.088
```

=====

No. 8
VASP calculation (GGA-PBE) on crystalline Ac2TlCd at its relaxed geometry.

Output
Energy of formation   -0.321 eV per atom
Raw total energy   -12.81 eV per formula unit

```
16
Lattice="8.254 0.000 0.000 0.000 8.254 0.000 0.000 0.000 8.254" Properties=species:S:1:pos:R:3 pbc="T T T"
Ac 2.064 2.064 2.064
Ac 2.064 2.064 6.191
Ac 2.064 6.191 2.064
Ac 2.064 6.191 6.191
Ac 6.191 2.064 2.064
Ac 6.191 2.064 6.191
Ac 6.191 6.191 2.064
Ac 6.191 6.191 6.191
Tl 0.000 0.000 0.000
Tl 0.000 4.127 4.127
Tl 4.127 0.000 4.127
Tl 4.127 4.127 0.000
Cd 0.000 0.000 4.127
Cd 0.000 4.127 0.000
Cd 4.127 0.000 0.000
Cd 4.127 4.127 4.127
```

=====

No. 9
VASP calculation (GGA-PBE) on crystalline AcZn2Cd at its relaxed geometry.

Output
Energy of formation   -0.243 eV per atom
Raw total energy   -8.53 eV per formula unit

```
16
Lattice="7.304 0.000 0.000 0.000 7.304 0.000 0.000 0.000 7.304" Properties=species:S:1:pos:R:3 pbc="T T T"
Ac 0.000 0.000 0.000
Ac 0.000 3.652 3.652
Ac 3.652 0.000 3.652
Ac 3.652 3.652 0.000
Zn 1.826 1.826 1.826
Zn 1.826 1.826 5.478
Zn 1.826 5.478 1.826
Zn 1.826 5.478 5.478
Zn 5.478 1.826 1.826
Zn 5.478 1.826 5.478
Zn 5.478 5.478 1.826
Zn 5.478 5.478 5.478
Cd 0.000 0.000 3.652
Cd 0.000 3.652 0.000
Cd 3.652 0.000 0.000
Cd 3.652 3.652 3.652
```

=====

No. 10
VASP calculation (GGA-PBE) on crystalline Ac3Ce at its relaxed geometry.

Output
Energy of formation   0.130 eV per atom
Raw total energy   -17.78 eV per formula unit

```
8
Lattice="7.851 0.000 0.000 -3.926 6.800 0.000 0.000 0.000 6.349" Properties=species:S:1:pos:R:3 pbc="T T T"
Ac 0.000 2.299 1.587
Ac -1.935 5.650 1.587
Ac 1.991 1.149 4.762
Ac 1.935 5.650 1.587
Ac 5.861 1.149 4.762
Ac 3.926 4.501 4.762
Ce 0.000 4.533 4.762
Ce 3.926 2.267 1.587
```

=====

No. 11
VASP calculation (GGA-PBE) on crystalline Ac3Ce at its relaxed geometry.

Output
Energy of formation   0.173 eV per atom
Raw total energy   -17.61 eV per formula unit

```
8
Lattice="5.287 0.000 0.000 0.000 5.287 0.000 0.000 0.000 10.516" Properties=species:S:1:pos:R:3 pbc="T T T"
Ac 0.000 0.000 0.000
Ac 0.000 2.643 2.629
Ac 0.000 2.643 7.887
Ac 2.643 0.000 2.629
Ac 2.643 0.000 7.887
Ac 2.643 2.643 5.258
Ce 0.000 0.000 5.258
Ce 2.643 2.643 0.000
```

=====

No. 12
VASP calculation (GGA-PBE) on crystalline Ac3Ce at its relaxed geometry.

Output
Energy of formation   0.127 eV per atom
Raw total energy   -17.79 eV per formula unit

```
4
Lattice="5.412 0.000 0.000 0.000 5.412 0.000 0.000 0.000 5.412" Properties=species:S:1:pos:R:3 pbc="T T T"
Ac 0.000 0.000 2.706
Ac 0.000 2.706 0.000
Ac 2.706 0.000 0.000
Ce 2.706 2.706 2.706
```

=====

- Number 11 is which compound?
  Ac3Ce